1.
{"formula": "Y2Te3", "functional": "GGA-PBE", "state": "relaxed", "formation_energy_mev_per_atom": -1686, "energy_ev_per_cell": -118.1, "lattice": [[0.000, 6.164, 13.162], [4.369, 0.000, 13.162], [4.369, 6.164, 0.000]], "species": ["Y", "Y", "Y", "Y", "Y", "Y", "Y", "Y", "Te", "Te", "Te", "Te", "Te", "Te", "Te", "Te", "Te", "Te", "Te", "Te"], "frac_coords": [[0.333, 0.333, 0.167], [0.167, 0.167, 0.333], [0.917, 0.917, 0.083], [0.083, 0.083, 0.917], [0.000, 0.000, 0.500], [0.500, 0.500, 0.000], [0.250, 0.250, 0.750], [0.750, 0.750, 0.250], [0.997, 0.503, 0.503], [0.503, 0.997, 0.997], [0.253, 0.747, 0.747], [0.747, 0.253, 0.253], [0.666, 0.168, 0.833], [0.833, 0.333, 0.666], [0.333, 0.833, 0.168], [0.168, 0.666, 0.333], [0.584, 0.082, 0.417], [0.417, 0.917, 0.584], [0.917, 0.417, 0.082], [0.082, 0.584, 0.917]]}

---

2.
{"formula": "Na5Zr2Ga2SiP5O24", "functional": "GGA-PBE", "state": "relaxed", "formation_energy_mev_per_atom": -2832, "energy_ev_per_cell": -824.9, "total_magnetization_mub_per_fu": 0.00, "lattice": [[8.926, 0.012, 0.008], [-4.453, 7.722, 0.000], [0.021, 0.012, 22.466]], "species": ["Na", "Na", "Na", "Na", "Na", "Na", "Na", "Na", "Na", "Na", "Na", "Na", "Na", "Na", "Na", "Zr", "Zr", "Zr", "Zr", "Zr", "Zr", "Ga", "Ga", "Ga", "Ga", "Ga", "Ga", "Si", "Si", "Si", "P", "P", "P", "P", "P", "P", "P", "P", "P", "P", "P", "P", "P", "P", "P", "O", "O", "O", "O", "O", "O", "O", "O", "O", "O", "O", "O", "O", "O", "O", "O", "O", "O", "O", "O", "O", "O", "O", "O", "O", "O", "O", "O", "O", "O", "O", "O", "O", "O", "O", "O", "O", "O", "O", "O", "O", "O", "O", "O", "O", "O", "O", "O", "O", "O", "O", "O", "O", "O", "O", "O", "O", "O", "O", "O", "O", "O", "O", "O", "O", "O", "O", "O", "O", "O", "O", "O"], "frac_coords": [[0.003, 0.634, 0.253], [0.632, 0.641, 0.754], [0.363, 0.995, 0.755], [0.663, 0.968, 0.585], [0.296, 0.970, 0.085], [0.675, 0.700, 0.083], [0.029, 0.331, 0.086], [0.967, 0.300, 0.415], [0.337, 0.034, 0.417], [0.002, 0.987, 0.497], [0.001, 0.996, 0.000], [0.679, 0.330, 0.841], [0.656, 0.336, 0.337], [0.343, 0.667, 0.175], [0.314, 0.652, 0.670], [0.996, 0.003, 0.857], [0.006, 0.001, 0.646], [0.669, 0.329, 0.686], [0.665, 0.330, 0.190], [0.330, 0.668, 0.016], [0.333, 0.666, 0.518], [0.995, 0.996, 0.350], [0.997, 0.994, 0.153], [0.672, 0.342, 0.980], [0.662, 0.340, 0.482], [0.341, 0.666, 0.315], [0.334, 0.668, 0.819], [0.697, 0.993, 0.751], [0.375, 0.046, 0.578], [0.954, 0.629, 0.084], [0.284, 0.992, 0.253], [0.707, 0.718, 0.251], [0.010, 0.290, 0.251], [0.290, 0.301, 0.752], [0.007, 0.706, 0.753], [0.955, 0.334, 0.578], [0.669, 0.622, 0.581], [0.674, 0.048, 0.082], [0.374, 0.327, 0.082], [0.624, 0.654, 0.916], [0.035, 0.381, 0.916], [0.347, 0.973, 0.916], [0.631, 0.961, 0.413], [0.335, 0.372, 0.412], [0.034, 0.665, 0.412], [0.200, 0.019, 0.309], [0.831, 0.802, 0.304], [0.983, 0.182, 0.308], [0.211, 0.178, 0.805], [0.977, 0.795, 0.806], [0.825, 0.020, 0.806], [0.782, 0.963, 0.690], [0.182, 0.212, 0.696], [0.038, 0.823, 0.697], [0.784, 0.818, 0.192], [0.028, 0.205, 0.193], [0.175, 0.964, 0.196], [0.871, 0.358, 0.635], [0.489, 0.130, 0.639], [0.648, 0.525, 0.640], [0.875, 0.508, 0.144], [0.633, 0.124, 0.138], [0.490, 0.361, 0.138], [0.454, 0.289, 0.028], [0.824, 0.537, 0.028], [0.703, 0.163, 0.027], [0.468, 0.156, 0.519], [0.695, 0.536, 0.527], [0.846, 0.308, 0.522], [0.539, 0.680, 0.973], [0.139, 0.459, 0.975], [0.319, 0.860, 0.973], [0.552, 0.856, 0.472], [0.302, 0.455, 0.468], [0.157, 0.699, 0.466], [0.116, 0.629, 0.357], [0.503, 0.869, 0.362], [0.360, 0.486, 0.357], [0.133, 0.496, 0.863], [0.364, 0.881, 0.860], [0.516, 0.640, 0.860], [0.023, 0.833, 0.408], [0.815, 0.984, 0.407], [0.169, 0.188, 0.408], [0.022, 0.200, 0.913], [0.181, 0.988, 0.913], [0.806, 0.819, 0.913], [0.965, 0.165, 0.585], [0.183, 0.022, 0.584], [0.826, 0.809, 0.585], [0.979, 0.824, 0.092], [0.837, 0.030, 0.090], [0.189, 0.169, 0.091], [0.670, 0.162, 0.748], [0.475, 0.324, 0.745], [0.838, 0.531, 0.746], [0.692, 0.534, 0.246], [0.845, 0.313, 0.247], [0.467, 0.154, 0.247], [0.637, 0.490, 0.921], [0.855, 0.361, 0.922], [0.511, 0.150, 0.923], [0.651, 0.145, 0.418], [0.496, 0.349, 0.419], [0.855, 0.499, 0.422], [0.358, 0.493, 0.077], [0.150, 0.651, 0.079], [0.513, 0.862, 0.077], [0.363, 0.855, 0.576], [0.507, 0.644, 0.576], [0.138, 0.491, 0.575], [0.300, 0.826, 0.258], [0.526, 0.697, 0.258], [0.168, 0.477, 0.255], [0.310, 0.481, 0.759], [0.169, 0.689, 0.759], [0.505, 0.819, 0.758]]}

---

Question: Number 1 is which compound?
Answer: Y2Te3